Record 1
# Li2CoOF3 GGA+U optimized geometry
data_Li2CoOF3
_symmetry_space_group_name_H-M 'P 1'
_symmetry_Int_Tables_number 1
_symmetry_space_group_name_Hall 'P 1'
_cell_length_a 5.714
_cell_length_b 5.714
_cell_length_c 5.162
_cell_angle_alpha 88.57
_cell_angle_beta 88.57
_cell_angle_gamma 62.18
loop_
_atom_site_label
_atom_site_fract_x
_atom_site_fract_y
_atom_site_fract_z
Li1 0.657 0.963 0.506
Li2 0.933 0.657 0.027
Li3 0.037 0.343 0.494
Li4 0.343 0.067 0.973
Co1 0.381 0.619 0.500
Co2 0.647 0.353 0.000
O1 0.703 0.494 0.697
O2 0.506 0.297 0.303
F1 0.285 0.987 0.621
F2 0.006 0.278 0.134
F3 0.514 0.745 0.195
F4 0.255 0.486 0.805
F5 0.013 0.715 0.379
F6 0.722 0.994 0.866
# Energy with MP2020 corrections   -38.58 eV per formula unit
# Space-group type   C2, No. 5
# VASP energy   -4.982 eV per atom
# Energy above the lowest structure with this stoichiometry   0.0741 eV/atom
# Density   3.3 Mg/m³

=====

Record 2
# Li4Co2OF7 GGA+U optimized geometry
data_Li4Co2OF7
_symmetry_space_group_name_H-M 'P 1'
_symmetry_Int_Tables_number 1
_symmetry_space_group_name_Hall 'P 1'
_cell_length_a 6.029
_cell_length_b 10.313
_cell_length_c 5.969
_cell_angle_alpha 88.90
_cell_angle_beta 120.33
_cell_angle_gamma 106.98
loop_
_atom_site_label
_atom_site_fract_x
_atom_site_fract_y
_atom_site_fract_z
Li1 0.989 0.000 0.980
Li2 0.991 0.500 0.480
Li3 0.764 0.126 0.393
Li4 0.755 0.626 0.893
Li5 0.373 0.311 0.436
Li6 0.374 0.811 0.936
Li7 0.378 0.062 0.695
Li8 0.379 0.562 0.195
Co1 0.395 0.824 0.427
Co2 0.856 0.324 0.927
Co3 0.380 0.316 0.932
Co4 0.869 0.816 0.432
O1 0.636 0.420 0.828
O2 0.613 0.920 0.328
F1 0.627 0.185 0.052
F2 0.610 0.685 0.552
F3 0.125 0.436 0.825
F4 0.136 0.936 0.325
F5 0.113 0.205 0.047
F6 0.139 0.705 0.547
F7 0.127 0.427 0.294
F8 0.127 0.930 0.795
F9 0.597 0.430 0.295
F10 0.595 0.927 0.794
F11 0.155 0.190 0.584
F12 0.148 0.692 0.085
F13 0.629 0.192 0.585
F14 0.619 0.690 0.084
# Energy with MP2020 corrections   -77.21 eV per formula unit
# Space-group type   Cc, No. 9
# VASP energy   -5.001 eV per atom
# Energy above the lowest structure with this stoichiometry   0.0002 eV/atom
# Density   3.2 Mg/m³

=====

Record 3
# Li4CoO3F GGA+U optimized geometry
data_Li4CoO3F
_symmetry_space_group_name_H-M 'P 1'
_symmetry_Int_Tables_number 1
_symmetry_space_group_name_Hall 'P 1'
_cell_length_a 7.759
_cell_length_b 5.225
_cell_length_c 5.347
_cell_angle_alpha 66.35
_cell_angle_beta 109.98
_cell_angle_gamma 97.09
loop_
_atom_site_label
_atom_site_fract_x
_atom_site_fract_y
_atom_site_fract_z
Li1 0.006 0.740 0.248
Li2 0.219 0.284 0.404
Li3 0.417 0.243 0.905
Li4 0.442 0.754 0.515
Li5 0.573 0.245 0.520
Li6 0.578 0.770 0.092
Li7 0.786 0.726 0.600
Li8 0.000 0.247 0.747
Co1 0.206 0.741 0.798
Co2 0.758 0.305 0.155
O1 0.015 0.834 0.853
O2 0.199 0.502 0.616
O3 0.393 0.984 0.704
O4 0.624 0.460 0.785
O5 0.602 0.012 0.301
O6 0.807 0.501 0.381
F1 0.379 0.507 0.196
F2 0.997 0.146 0.181
# Energy with MP2020 corrections   -50.07 eV per formula unit
# Space-group type   P1, No. 1
# VASP energy   -5.101 eV per atom
# Energy above the lowest structure with this stoichiometry   0.0326 eV/atom
# Density   2.7 Mg/m³

=====

Record 4
# Li7CoO3F3 GGA+U optimized geometry
data_Li7CoO3F3
_symmetry_space_group_name_H-M 'P 1'
_symmetry_Int_Tables_number 1
_symmetry_space_group_name_Hall 'P 1'
_cell_length_a 5.699
_cell_length_b 8.470
_cell_length_c 5.760
_cell_angle_alpha 80.02
_cell_angle_beta 95.22
_cell_angle_gamma 88.46
loop_
_atom_site_label
_atom_site_fract_x
_atom_site_fract_y
_atom_site_fract_z
Li1 0.331 0.448 0.953
Li2 0.831 0.948 0.453
Li3 0.846 0.295 0.071
Li4 0.346 0.796 0.571
Li5 0.966 0.347 0.666
Li6 0.466 0.847 0.166
Li7 0.081 0.681 0.320
Li8 0.581 0.181 0.820
Li9 0.185 0.702 0.922
Li10 0.685 0.202 0.422
Li11 0.670 0.558 0.103
Li12 0.169 0.058 0.603
Li13 0.831 0.618 0.713
Li14 0.331 0.118 0.213
Co1 0.928 0.987 0.018
Co2 0.428 0.487 0.518
O1 0.366 0.593 0.190
O2 0.865 0.092 0.690
O3 0.162 0.587 0.659
O4 0.662 0.087 0.159
O5 0.652 0.427 0.811
O6 0.152 0.927 0.312
F1 0.153 0.268 0.985
F2 0.653 0.768 0.486
F3 0.830 0.397 0.334
F4 0.330 0.897 0.834
F5 0.873 0.725 0.009
F6 0.373 0.225 0.509
# Energy with MP2020 corrections   -73.78 eV per formula unit
# VASP energy   -4.907 eV per atom
# Density   2.6 Mg/m³

=====

Which value of VASP energy does entry 3 give?
-5.101 eV per atom